A relaxed Na2ScTa3Si2P4O24 crystal. Source: the Materials Project database, functional PBE.

Computed properties:
calculated formation energy = -3112 meV per atom
total magnetization = 0.000 μB/f.u.
total DFT energy (no corrections) = -291.36 eV/f.u.

abc: 8.8048 8.8114 22.9050
angles: 90.06 90.00 119.98
Sites, in units of the cell vectors:
Ta 0.3363 0.6705 0.3108
Ta 0.3333 0.6642 0.0201
Ta 0.6695 0.3296 0.4780
Ta 0.3328 0.6661 0.8131
Ta 0.0006 0.0003 0.8572
Ta 0.9996 0.0018 0.6448
Ta 0.3355 0.6672 0.5203
Ta 0.0021 0.0025 0.1464
Ta 0.6620 0.3317 0.9782
Sc 0.6635 0.3349 0.1853
Sc 0.6723 0.3356 0.6871
Sc 0.9969 0.0006 0.3549
P 0.7128 0.7108 0.2512
P 0.6662 0.0446 0.0838
P 0.3357 0.3819 0.4168
P 0.9551 0.6219 0.0839
P 0.6665 0.6199 0.5837
P 0.0012 0.7143 0.7504
P 0.2881 0.0004 0.2516
P 0.7121 0.9980 0.7505
P 0.9989 0.2887 0.2514
P 0.0475 0.6662 0.4168
P 0.3794 0.0460 0.5836
P 0.2863 0.2871 0.7504
O 0.1683 0.4694 0.9732
O 0.8433 0.3154 0.2435
O 0.8146 0.9779 0.4148
O 0.8538 0.3596 0.9254
O 0.6367 0.1216 0.1382
O 0.4915 0.3686 0.1417
O 0.4874 0.1207 0.6381
O 0.5082 0.1449 0.9244
O 0.1800 0.1579 0.0916
O 0.9776 0.1810 0.3052
O 0.5204 0.8366 0.4734
O 0.6986 0.1598 0.0285
O 0.2969 0.8245 0.2565
O 0.3483 0.5027 0.0748
O 0.0271 0.1978 0.1956
O 0.0318 0.8285 0.4134
O 0.5251 0.6959 0.2571
O 0.2965 0.4684 0.7549
O 0.4962 0.8589 0.3595
O 0.6302 0.1458 0.4245
O 0.1699 0.9718 0.1958
O 0.1768 0.2011 0.4132
O 0.1527 0.5008 0.5730
O 0.8189 0.7975 0.3054
O 0.1916 0.0218 0.5908
O 0.4660 0.3051 0.7460
O 0.8328 0.8058 0.5912
O 0.6924 0.1591 0.7465
O 0.8044 0.9739 0.6953
O 0.1905 0.1746 0.8043
O 0.3644 0.8621 0.8582
O 0.3006 0.8332 0.9739
O 0.3521 0.8596 0.5728
O 0.4981 0.6345 0.8582
O 0.8315 0.3041 0.5264
O 0.8631 0.4987 0.4252
O 0.5069 0.3741 0.4255
O 0.1698 0.1945 0.6951
O 0.8306 0.0206 0.0909
O 0.8409 0.5354 0.0286
O 0.6944 0.5348 0.5286
O 0.7984 0.8273 0.1956
O 0.1432 0.6525 0.0741
O 0.1713 0.7017 0.7553
O 0.5308 0.8271 0.7549
O 0.1721 0.4724 0.2568
O 0.6299 0.5116 0.6384
O 0.8115 0.8373 0.9068
O 0.4693 0.3033 0.0262
O 0.1646 0.9759 0.9067
O 0.0263 0.1894 0.9067
O 0.3613 0.4972 0.3621
O 0.6868 0.5279 0.2451
O 0.3141 0.4746 0.4715
O 0.8375 0.5347 0.7473
O 0.5086 0.6504 0.5734
O 0.1372 0.5018 0.8582
O 0.5314 0.6997 0.9734
O 0.1309 0.6329 0.3620
O 0.5047 0.8595 0.0742
O 0.8819 0.5137 0.1382
O 0.0256 0.8285 0.6951
O 0.2033 0.0220 0.3057
O 0.9718 0.8070 0.0911
O 0.8255 0.0163 0.8044
O 0.8761 0.3703 0.6417
O 0.4637 0.1624 0.5285
O 0.9852 0.8108 0.8044
O 0.9767 0.1591 0.5916
O 0.6425 0.4957 0.9250
O 0.4726 0.1533 0.2441
O 0.1588 0.6815 0.4714
Na 0.9967 0.0000 0.4938
Na 0.6676 0.3336 0.8318
Na 0.6663 0.3330 0.3269
Na 0.0006 0.0002 0.0011
Na 0.3334 0.6636 0.1648
Na 0.3298 0.6639 0.6671
Si 0.9560 0.3354 0.5846
Si 0.6242 0.9553 0.4166
Si 0.3355 0.9526 0.9168
Si 0.6186 0.6652 0.9163
Si 0.0454 0.3817 0.9163
Si 0.3777 0.3345 0.0846



A relaxed CaYMg6 crystal. Source: the Materials Project database, functional PBE.

Computed properties:
calculated formation energy = -62 meV per atom
total magnetization = 0.007 μB/f.u.
ΔE to the lowest computed polymorph = 0.000 eV/atom
total DFT energy (no corrections) = -18.57 eV/f.u.

abc: 6.6869 6.6869 5.2265
angles: 90.00 90.00 117.37
Sites, in units of the cell vectors:
Mg 0.0903 0.9097 0.5000
Mg 0.1063 0.4324 0.5000
Mg 0.9257 0.6032 0.0000
Mg 0.4152 0.5848 0.0000
Mg 0.5676 0.8937 0.5000
Mg 0.3968 0.0743 0.0000
Ca 0.9042 0.0958 0.0000
Y 0.5940 0.4060 0.5000



A relaxed Sb2IrC3O3F13 crystal. Source: the Materials Project database, functional PBE.

Computed properties:
calculated formation energy = -2090 meV per atom
total magnetization = 0.000 μB/f.u.
total DFT energy (no corrections) = -122.42 eV/f.u.

abc: 8.6615 8.9340 10.9134
angles: 110.65 102.89 88.47
Sites, in units of the cell vectors:
F 0.9807 0.4301 0.3548
F 0.7020 0.9663 0.3677
F 0.8637 0.7869 0.5028
F 0.1009 0.2269 0.0926
F 0.7269 0.9395 0.7587
F 0.5989 0.6641 0.9174
F 0.3311 0.3844 0.3228
F 0.6689 0.6156 0.6772
F 0.2980 0.0337 0.6323
F 0.4011 0.3359 0.0826
F 0.5039 0.3026 0.7827
F 0.1918 0.3300 0.7659
F 0.5454 0.7987 0.4842
F 0.4961 0.6974 0.2173
F 0.0193 0.5699 0.6452
F 0.6720 0.9767 0.9960
F 0.6668 0.5163 0.3553
F 0.8991 0.7731 0.9074
F 0.5574 0.1811 0.2382
F 0.8082 0.6700 0.2341
F 0.2731 0.0605 0.2413
F 0.4546 0.2013 0.5158
F 0.3332 0.4837 0.6447
F 0.4426 0.8189 0.7618
F 0.3280 0.0233 0.0040
F 0.1363 0.2131 0.4972
C 0.1175 0.8917 0.7515
C 0.1986 0.7014 0.5182
C 0.8825 0.1083 0.2485
C 0.8014 0.2986 0.4818
C 0.2338 0.6853 0.8845
C 0.7662 0.3147 0.1155
Sb 0.6786 0.7517 0.3608
Sb 0.6803 0.7944 0.8388
Sb 0.3214 0.2483 0.6392
Sb 0.3197 0.2056 0.1612
Ir 0.2187 0.6978 0.7035
Ir 0.7813 0.3022 0.2965
O 0.7621 0.3259 0.0144
O 0.1901 0.7059 0.4142
O 0.9470 0.9920 0.2210
O 0.0530 0.0080 0.7790
O 0.2379 0.6741 0.9856
O 0.8099 0.2941 0.5858



A relaxed LiHo2Al crystal. Source: the Materials Project database, functional PBE.

Computed properties:
calculated formation energy = -209 meV per atom
total DFT energy (no corrections) = -15.65 eV/f.u.

abc: 5.1286 5.1286 5.1286
angles: 60.00 60.00 60.00
Sites, in units of the cell vectors:
Li 0.5000 0.5000 0.5000
Ho 0.7500 0.7500 0.7500
Ho 0.2500 0.2500 0.2500
Al 0.0000 0.0000 0.0000